Computed, not measured: crystalline SmSi3Ni at its relaxed geometry at the PBE level of DFT.

abc: 10.787 10.787 4.014
angles: 90.00 90.00 158.76
Fractional coordinates of all 10 atoms:
Sm (0.169, 0.831, 0.000)
Sm (0.831, 0.169, 0.000)
Si (0.056, 0.944, 0.500)
Si (0.282, 0.718, 0.500)
Si (0.444, 0.556, 0.000)
Si (0.556, 0.444, 0.000)
Si (0.718, 0.282, 0.500)
Si (0.944, 0.056, 0.500)
Ni (0.391, 0.609, 0.500)
Ni (0.609, 0.391, 0.500)

Formation energy = -0.68 eV/atom